{
  "formula": "Li9Mn21O40",
  "functional": "PBE+U",
  "state": "optimized geometry",
  "cell": [[6.049, 0.000, 0.000], [-0.415, 6.037, 0.000], [-2.698, -3.014, 20.688]],
  "species": ["Li", "Li", "Li", "Li", "Li", "Li", "Li", "Li", "Li", "Mn", "Mn", "Mn", "Mn", "Mn", "Mn", "Mn", "Mn", "Mn", "Mn", "Mn", "Mn", "Mn", "Mn", "Mn", "Mn", "Mn", "Mn", "Mn", "Mn", "Mn", "O", "O", "O", "O", "O", "O", "O", "O", "O", "O", "O", "O", "O", "O", "O", "O", "O", "O", "O", "O", "O", "O", "O", "O", "O", "O", "O", "O", "O", "O", "O", "O", "O", "O", "O", "O", "O", "O", "O", "O"],
  "frac_coords": [[0.000, 0.000, 0.000], [0.045, 0.558, 0.099], [0.183, 0.221, 0.397], [0.254, 0.746, 0.497], [0.389, 0.413, 0.796], [0.584, 0.615, 0.199], [0.657, 0.148, 0.298], [0.780, 0.820, 0.596], [0.854, 0.347, 0.695], [0.018, 0.283, 0.546], [0.112, 0.882, 0.743], [0.119, 0.384, 0.247], [0.119, 0.884, 0.249], [0.212, 0.484, 0.949], [0.317, 0.082, 0.645], [0.319, 0.582, 0.646], [0.324, 0.078, 0.150], [0.419, 0.682, 0.348], [0.440, 0.968, 0.897], [0.512, 0.787, 0.050], [0.515, 0.291, 0.052], [0.518, 0.282, 0.546], [0.617, 0.888, 0.745], [0.718, 0.483, 0.447], [0.718, 0.983, 0.447], [0.722, 0.490, 0.948], [0.824, 0.075, 0.147], [0.919, 0.683, 0.348], [0.921, 0.673, 0.844], [0.926, 0.184, 0.848], [0.083, 0.850, 0.650], [0.091, 0.292, 0.152], [0.092, 0.848, 0.156], [0.105, 0.315, 0.641], [0.147, 0.912, 0.837], [0.149, 0.917, 0.342], [0.151, 0.470, 0.342], [0.163, 0.422, 0.856], [0.277, 0.548, 0.042], [0.286, 0.494, 0.551], [0.287, 0.048, 0.551], [0.305, 0.026, 0.055], [0.332, 0.650, 0.253], [0.346, 0.116, 0.738], [0.350, 0.671, 0.740], [0.353, 0.115, 0.243], [0.457, 0.726, 0.956], [0.459, 0.275, 0.955], [0.485, 0.251, 0.452], [0.505, 0.715, 0.442], [0.530, 0.850, 0.650], [0.551, 0.313, 0.640], [0.554, 0.863, 0.144], [0.555, 0.311, 0.145], [0.686, 0.895, 0.352], [0.688, 0.449, 0.353], [0.688, 0.943, 0.841], [0.690, 0.447, 0.854], [0.725, 0.552, 0.045], [0.748, 0.516, 0.541], [0.750, 0.022, 0.054], [0.751, 0.070, 0.541], [0.880, 0.651, 0.748], [0.885, 0.098, 0.750], [0.887, 0.652, 0.254], [0.907, 0.117, 0.242], [0.931, 0.251, 0.452], [0.951, 0.715, 0.441], [0.980, 0.248, 0.945], [0.983, 0.696, 0.943]],
  "density_g_cm3": 4.1,
  "relative_energy_ev_per_atom": 0.000,
  "sg": "P1, No. 1",
  "e_form_ev_per_atom": -2.061,
  "crystal_system": "triclinic"
}


{
  "formula": "PrV2IO9",
  "functional": "PBE+U",
  "state": "optimized geometry",
  "cell": [[7.134, 0.000, 0.000], [0.000, 14.757, 0.000], [0.000, 0.000, 7.332]],
  "species": ["Pr", "Pr", "Pr", "Pr", "V", "V", "V", "V", "V", "V", "V", "V", "I", "I", "I", "I", "O", "O", "O", "O", "O", "O", "O", "O", "O", "O", "O", "O", "O", "O", "O", "O", "O", "O", "O", "O", "O", "O", "O", "O", "O", "O", "O", "O", "O", "O", "O", "O", "O", "O", "O", "O"],
  "frac_coords": [[0.150, 0.049, 0.250], [0.150, 0.451, 0.750], [0.850, 0.549, 0.250], [0.850, 0.951, 0.750], [0.182, 0.729, 0.750], [0.182, 0.771, 0.250], [0.465, 0.250, 0.000], [0.465, 0.250, 0.500], [0.535, 0.750, 0.000], [0.535, 0.750, 0.500], [0.818, 0.229, 0.750], [0.818, 0.271, 0.250], [0.298, 0.056, 0.750], [0.298, 0.444, 0.250], [0.702, 0.556, 0.750], [0.702, 0.944, 0.250], [0.012, 0.693, 0.250], [0.012, 0.807, 0.750], [0.084, 0.625, 0.750], [0.084, 0.875, 0.250], [0.174, 0.509, 0.071], [0.174, 0.509, 0.429], [0.174, 0.991, 0.571], [0.174, 0.991, 0.929], [0.261, 0.750, 0.000], [0.261, 0.750, 0.500], [0.331, 0.158, 0.045], [0.331, 0.158, 0.455], [0.331, 0.342, 0.545], [0.331, 0.342, 0.955], [0.469, 0.721, 0.750], [0.469, 0.779, 0.250], [0.475, 0.501, 0.750], [0.475, 0.999, 0.250], [0.525, 0.001, 0.750], [0.525, 0.499, 0.250], [0.531, 0.221, 0.750], [0.531, 0.279, 0.250], [0.669, 0.658, 0.045], [0.669, 0.658, 0.455], [0.669, 0.842, 0.545], [0.669, 0.842, 0.955], [0.739, 0.250, 0.000], [0.739, 0.250, 0.500], [0.826, 0.009, 0.071], [0.826, 0.009, 0.429], [0.826, 0.491, 0.571], [0.826, 0.491, 0.929], [0.916, 0.125, 0.750], [0.916, 0.375, 0.250], [0.988, 0.193, 0.250], [0.988, 0.307, 0.750]],
  "density_g_cm3": 4.4,
  "sg": "Pbcm, No. 57",
  "e_form_ev_per_atom": -2.295,
  "crystal_system": "orthorhombic"
}


{
  "formula": "BaNb2Fe2O9",
  "functional": "PBE+U",
  "state": "optimized geometry",
  "cell": [[0.000, 13.210, 2.812], [2.811, 0.000, 2.812], [2.811, 13.210, 0.000]],
  "species": ["Ba", "Nb", "Nb", "Fe", "Fe", "O", "O", "O", "O", "O", "O", "O", "O", "O"],
  "frac_coords": [[0.000, 0.000, 0.000], [0.408, 0.576, 0.424], [0.576, 0.408, 0.592], [0.289, 0.739, 0.261], [0.739, 0.289, 0.711], [0.084, 0.433, 0.070], [0.264, 0.264, 0.236], [0.352, 0.665, 0.335], [0.433, 0.084, 0.413], [0.505, 0.505, 0.495], [0.587, 0.930, 0.567], [0.665, 0.352, 0.648], [0.764, 0.764, 0.736], [0.930, 0.587, 0.916]],
  "density_g_cm3": 4.6,
  "relative_energy_ev_per_atom": 0.000,
  "sg": "Fmm2, No. 42",
  "e_form_ev_per_atom": -2.577,
  "crystal_system": "orthorhombic"
}


{
  "formula": "CoP2O7",
  "functional": "PBE+U",
  "state": "optimized geometry",
  "cell": [[4.676, -3.990, 0.000], [4.676, 3.990, 0.000], [-4.321, 0.000, 12.186]],
  "species": ["Co", "Co", "Co", "Co", "P", "P", "P", "P", "P", "P", "P", "P", "O", "O", "O", "O", "O", "O", "O", "O", "O", "O", "O", "O", "O", "O", "O", "O", "O", "O", "O", "O", "O", "O", "O", "O", "O", "O", "O", "O"],
  "frac_coords": [[0.086, 0.622, 0.856], [0.378, 0.914, 0.644], [0.622, 0.086, 0.356], [0.914, 0.378, 0.144], [0.086, 0.168, 0.931], [0.168, 0.086, 0.431], [0.251, 0.421, 0.638], [0.421, 0.251, 0.138], [0.579, 0.749, 0.862], [0.749, 0.579, 0.362], [0.832, 0.914, 0.569], [0.914, 0.832, 0.069], [0.021, 0.941, 0.854], [0.059, 0.979, 0.646], [0.069, 0.534, 0.703], [0.100, 0.705, 0.007], [0.106, 0.306, 0.519], [0.145, 0.311, 0.862], [0.229, 0.416, 0.179], [0.295, 0.900, 0.493], [0.306, 0.106, 0.019], [0.311, 0.145, 0.362], [0.386, 0.591, 0.619], [0.409, 0.614, 0.881], [0.416, 0.229, 0.679], [0.466, 0.931, 0.797], [0.534, 0.069, 0.203], [0.584, 0.771, 0.321], [0.591, 0.386, 0.119], [0.614, 0.409, 0.381], [0.689, 0.855, 0.638], [0.694, 0.894, 0.981], [0.705, 0.100, 0.507], [0.771, 0.584, 0.821], [0.855, 0.689, 0.138], [0.894, 0.694, 0.481], [0.900, 0.295, 0.993], [0.931, 0.466, 0.297], [0.941, 0.021, 0.354], [0.979, 0.059, 0.146]],
  "density_g_cm3": 3.4,
  "relative_energy_ev_per_atom": 0.023,
  "sg": "C2/c, No. 15",
  "e_form_ev_per_atom": -2.061,
  "crystal_system": "monoclinic"
}


{
  "formula": "NiBi12O20",
  "functional": "PBE+U",
  "state": "optimized geometry",
  "cell": [[-5.116, 5.116, 5.116], [5.116, -5.116, 5.116], [5.116, 5.116, -5.116]],
  "species": ["Ni", "Bi", "Bi", "Bi", "Bi", "Bi", "Bi", "Bi", "Bi", "Bi", "Bi", "Bi", "Bi", "O", "O", "O", "O", "O", "O", "O", "O", "O", "O", "O", "O", "O", "O", "O", "O", "O", "O", "O", "O"],
  "frac_coords": [[0.000, 0.000, 0.000], [0.140, 0.303, 0.810], [0.163, 0.860, 0.669], [0.190, 0.494, 0.331], [0.303, 0.810, 0.140], [0.331, 0.190, 0.494], [0.494, 0.331, 0.190], [0.506, 0.697, 0.837], [0.669, 0.163, 0.860], [0.697, 0.837, 0.506], [0.810, 0.140, 0.303], [0.837, 0.506, 0.697], [0.860, 0.669, 0.163], [0.000, 0.000, 0.212], [0.000, 0.000, 0.606], [0.000, 0.212, 0.000], [0.000, 0.606, 0.000], [0.124, 0.764, 0.379], [0.212, 0.000, 0.000], [0.236, 0.360, 0.616], [0.255, 0.640, 0.876], [0.360, 0.616, 0.236], [0.379, 0.124, 0.764], [0.384, 0.745, 0.621], [0.394, 0.394, 0.394], [0.606, 0.000, 0.000], [0.616, 0.236, 0.360], [0.621, 0.384, 0.745], [0.640, 0.876, 0.255], [0.745, 0.621, 0.384], [0.764, 0.379, 0.124], [0.788, 0.788, 0.788], [0.876, 0.255, 0.640]],
  "density_g_cm3": 8.9,
  "sg": "I23, No. 197",
  "e_form_ev_per_atom": -1.529,
  "crystal_system": "cubic"
}


{
  "formula": "La16Mn15O48",
  "functional": "PBE+U",
  "state": "optimized geometry",
  "cell": [[5.534, 0.000, 0.000], [2.507, 12.173, 0.000], [2.675, 0.590, 14.569]],
  "species": ["La", "La", "La", "La", "La", "La", "La", "La", "La", "La", "La", "La", "La", "La", "La", "La", "Mn", "Mn", "Mn", "Mn", "Mn", "Mn", "Mn", "Mn", "Mn", "Mn", "Mn", "Mn", "Mn", "Mn", "Mn", "O", "O", "O", "O", "O", "O", "O", "O", "O", "O", "O", "O", "O", "O", "O", "O", "O", "O", "O", "O", "O", "O", "O", "O", "O", "O", "O", "O", "O", "O", "O", "O", "O", "O", "O", "O", "O", "O", "O", "O", "O", "O", "O", "O", "O", "O", "O", "O"],
  "frac_coords": [[0.030, 0.281, 0.157], [0.096, 0.856, 0.473], [0.156, 0.405, 0.780], [0.219, 0.968, 0.095], [0.281, 0.532, 0.406], [0.347, 0.090, 0.705], [0.407, 0.657, 0.032], [0.464, 0.208, 0.353], [0.536, 0.792, 0.647], [0.593, 0.343, 0.968], [0.653, 0.910, 0.295], [0.719, 0.468, 0.594], [0.781, 0.032, 0.905], [0.844, 0.595, 0.220], [0.904, 0.144, 0.527], [0.970, 0.719, 0.843], [0.000, 0.500, 0.000], [0.063, 0.063, 0.310], [0.126, 0.625, 0.625], [0.189, 0.187, 0.936], [0.249, 0.750, 0.250], [0.311, 0.313, 0.562], [0.377, 0.874, 0.874], [0.438, 0.436, 0.189], [0.562, 0.564, 0.811], [0.623, 0.126, 0.126], [0.689, 0.687, 0.438], [0.751, 0.250, 0.750], [0.811, 0.813, 0.064], [0.874, 0.375, 0.375], [0.937, 0.937, 0.690], [0.010, 0.690, 0.349], [0.022, 0.773, 0.682], [0.025, 0.200, 0.825], [0.097, 0.922, 0.800], [0.102, 0.352, 0.943], [0.112, 0.433, 0.272], [0.134, 0.818, 0.978], [0.143, 0.329, 0.452], [0.148, 0.898, 0.306], [0.225, 0.050, 0.413], [0.231, 0.475, 0.567], [0.239, 0.947, 0.610], [0.240, 0.557, 0.898], [0.270, 0.451, 0.077], [0.274, 0.022, 0.933], [0.351, 0.603, 0.193], [0.356, 0.174, 0.048], [0.362, 0.683, 0.522], [0.385, 0.067, 0.228], [0.385, 0.160, 0.554], [0.393, 0.574, 0.703], [0.478, 0.728, 0.816], [0.481, 0.300, 0.673], [0.486, 0.805, 0.146], [0.514, 0.195, 0.854], [0.519, 0.700, 0.327], [0.522, 0.272, 0.184], [0.607, 0.426, 0.297], [0.615, 0.840, 0.446], [0.615, 0.933, 0.772], [0.638, 0.317, 0.478], [0.644, 0.826, 0.952], [0.649, 0.397, 0.807], [0.726, 0.978, 0.067], [0.730, 0.549, 0.923], [0.760, 0.443, 0.102], [0.761, 0.053, 0.390], [0.769, 0.525, 0.433], [0.775, 0.950, 0.587], [0.852, 0.102, 0.694], [0.857, 0.671, 0.548], [0.866, 0.182, 0.022], [0.888, 0.567, 0.728], [0.898, 0.648, 0.057], [0.903, 0.078, 0.200], [0.975, 0.800, 0.175], [0.978, 0.227, 0.318], [0.990, 0.310, 0.651]],
  "density_g_cm3": 6.5,
  "relative_energy_ev_per_atom": 0.005,
  "sg": "P-1, No. 2",
  "e_form_ev_per_atom": -2.990,
  "crystal_system": "triclinic"
}


{
  "formula": "Mn2O3F",
  "functional": "PBE+U",
  "state": "optimized geometry",
  "cell": [[3.016, -6.636, 0.000], [3.016, 6.636, 0.000], [0.000, 0.000, 6.344]],
  "species": ["Mn", "Mn", "Mn", "Mn", "Mn", "Mn", "Mn", "Mn", "O", "O", "O", "O", "O", "O", "O", "O", "O", "O", "O", "O", "F", "F", "F", "F"],
  "frac_coords": [[0.122, 0.878, 0.750], [0.126, 0.376, 0.750], [0.374, 0.626, 0.250], [0.376, 0.126, 0.250], [0.624, 0.874, 0.750], [0.626, 0.374, 0.750], [0.874, 0.624, 0.250], [0.878, 0.122, 0.250], [0.031, 0.969, 0.250], [0.127, 0.376, 0.059], [0.127, 0.376, 0.441], [0.281, 0.719, 0.750], [0.376, 0.127, 0.559], [0.376, 0.127, 0.941], [0.624, 0.873, 0.059], [0.624, 0.873, 0.441], [0.719, 0.281, 0.250], [0.873, 0.624, 0.559], [0.873, 0.624, 0.941], [0.969, 0.031, 0.750], [0.232, 0.768, 0.250], [0.484, 0.516, 0.750], [0.516, 0.484, 0.250], [0.768, 0.232, 0.750]],
  "density_g_cm3": 4.6,
  "relative_energy_ev_per_atom": 0.034,
  "sg": "Cmcm, No. 63",
  "e_form_ev_per_atom": -2.007,
  "crystal_system": "orthorhombic"
}


{
  "formula": "LiCa9CoP7O28",
  "functional": "PBE+U",
  "state": "optimized geometry",
  "cell": [[5.224, 3.016, 12.418], [-5.224, 3.016, 12.418], [0.000, -6.032, 12.418]],
  "species": ["Li", "Li", "Ca", "Ca", "Ca", "Ca", "Ca", "Ca", "Ca", "Ca", "Ca", "Ca", "Ca", "Ca", "Ca", "Ca", "Ca", "Ca", "Ca", "Ca", "Co", "Co", "P", "P", "P", "P", "P", "P", "P", "P", "P", "P", "P", "P", "P", "P", "O", "O", "O", "O", "O", "O", "O", "O", "O", "O", "O", "O", "O", "O", "O", "O", "O", "O", "O", "O", "O", "O", "O", "O", "O", "O", "O", "O", "O", "O", "O", "O", "O", "O", "O", "O", "O", "O", "O", "O", "O", "O", "O", "O", "O", "O", "O", "O", "O", "O", "O", "O", "O", "O", "O", "O"],
  "frac_coords": [[0.000, 0.000, 0.000], [0.500, 0.500, 0.500], [0.011, 0.605, 0.596], [0.096, 0.105, 0.511], [0.105, 0.511, 0.096], [0.113, 0.722, 0.703], [0.203, 0.222, 0.613], [0.222, 0.613, 0.203], [0.235, 0.821, 0.262], [0.262, 0.235, 0.821], [0.321, 0.735, 0.762], [0.511, 0.096, 0.105], [0.596, 0.011, 0.605], [0.605, 0.596, 0.011], [0.613, 0.203, 0.222], [0.703, 0.113, 0.722], [0.722, 0.703, 0.113], [0.735, 0.762, 0.321], [0.762, 0.321, 0.735], [0.821, 0.262, 0.235], [0.169, 0.169, 0.169], [0.669, 0.669, 0.669], [0.343, 0.864, 0.898], [0.364, 0.843, 0.398], [0.398, 0.364, 0.843], [0.400, 0.400, 0.400], [0.448, 0.983, 0.486], [0.483, 0.948, 0.986], [0.486, 0.448, 0.983], [0.843, 0.398, 0.364], [0.864, 0.898, 0.343], [0.898, 0.343, 0.864], [0.900, 0.900, 0.900], [0.948, 0.986, 0.483], [0.983, 0.486, 0.448], [0.986, 0.483, 0.948], [0.001, 0.816, 0.540], [0.018, 0.296, 0.295], [0.025, 0.581, 0.274], [0.034, 0.053, 0.306], [0.038, 0.823, 0.287], [0.040, 0.316, 0.501], [0.053, 0.306, 0.034], [0.055, 0.497, 0.487], [0.057, 0.336, 0.782], [0.065, 0.785, 0.888], [0.081, 0.525, 0.774], [0.241, 0.829, 0.921], [0.274, 0.025, 0.581], [0.282, 0.836, 0.557], [0.285, 0.565, 0.388], [0.287, 0.038, 0.823], [0.295, 0.018, 0.296], [0.296, 0.295, 0.018], [0.306, 0.034, 0.053], [0.316, 0.501, 0.040], [0.323, 0.538, 0.787], [0.329, 0.741, 0.421], [0.336, 0.782, 0.057], [0.358, 0.358, 0.358], [0.388, 0.285, 0.565], [0.421, 0.329, 0.741], [0.487, 0.055, 0.497], [0.497, 0.487, 0.055], [0.501, 0.040, 0.316], [0.518, 0.795, 0.796], [0.525, 0.774, 0.081], [0.534, 0.806, 0.553], [0.538, 0.787, 0.323], [0.540, 0.001, 0.816], [0.553, 0.534, 0.806], [0.555, 0.987, 0.997], [0.557, 0.282, 0.836], [0.565, 0.388, 0.285], [0.581, 0.274, 0.025], [0.741, 0.421, 0.329], [0.774, 0.081, 0.525], [0.782, 0.057, 0.336], [0.785, 0.888, 0.065], [0.787, 0.323, 0.538], [0.795, 0.796, 0.518], [0.796, 0.518, 0.795], [0.806, 0.553, 0.534], [0.816, 0.540, 0.001], [0.823, 0.287, 0.038], [0.829, 0.921, 0.241], [0.836, 0.557, 0.282], [0.858, 0.858, 0.858], [0.888, 0.065, 0.785], [0.921, 0.241, 0.829], [0.987, 0.997, 0.555], [0.997, 0.555, 0.987]],
  "density_g_cm3": 3.1,
  "sg": "R3c, No. 161",
  "e_form_ev_per_atom": -3.161,
  "crystal_system": "trigonal"
}